1.
Entry from Materials Project: an optimized crystal structure of VBO4 (PBE with a Hubbard U).

```
VBO4
1.0
7.6025 0.0000 0.0000
-3.0437 7.2178 0.0000
-0.9336 -3.2252 7.9894
V B O
6 6 24
Cartesian
-0.9626 1.5452 1.2164
0.6950 0.4762 5.3124
3.1676 -0.7634 2.0429
0.4576 4.7560 5.9464
2.9302 3.5164 2.6770
4.5878 2.4474 6.7730
-2.8596 5.8258 1.7514
0.0509 3.1200 3.6174
0.1000 2.2813 7.4851
3.5252 1.7112 0.5043
3.5742 0.8726 4.3720
6.4848 -1.8332 6.2380
-0.3759 0.0035 1.7712
-1.1561 -1.3573 7.6524
-0.2937 -0.9699 5.3934
-0.7310 2.8286 2.4118
-1.4807 5.8375 2.3226
-1.3151 2.4315 7.0641
0.2478 1.8200 4.3104
-0.5076 4.0775 4.6071
0.6882 1.0696 6.9372
2.7503 0.5805 1.0588
1.1330 5.5051 0.9502
2.3418 0.1826 4.8255
1.2834 3.8100 3.1638
2.4922 -1.5125 7.0392
0.8749 3.4121 6.9306
2.9369 2.9229 1.0522
4.1328 -0.0849 3.3822
3.3773 2.1725 3.6789
4.9402 1.5611 0.9253
5.1059 -1.8449 5.6668
4.3562 1.1640 5.5775
3.9188 4.9625 2.5959
4.7813 5.3499 0.3369
4.0011 3.9890 6.2182
```

As for the space group: P-1 (2). The formation enthalpy at 0 K is -2.447 eV/atom. For the density, the calculation gives 2.9 Mg/m³.

***

2.
Entry from Materials Project: an optimized crystal structure of MgFe2Cl2O2 (PBE with a Hubbard U).

```
MgFe2Cl2O2
1.0
4.0607 0.0000 0.0000
0.0000 4.0632 0.0000
0.0000 0.0000 9.7881
Mg Fe Cl O
1 2 2 2
Cartesian
0.0000 0.0000 0.0000
0.0000 0.0000 4.9302
2.0304 2.0316 4.7483
0.0000 2.0316 1.2599
2.0304 0.0000 8.5295
0.0000 2.0316 4.9357
2.0304 0.0000 4.7572
```

As for the space group: Pmm2 (25). The formation enthalpy at 0 K is -1.463 eV/atom. For the density, the calculation gives 2.5 Mg/m³.

***

3.
Entry from Materials Project: an optimized crystal structure of MgMn5O8 (PBE with a Hubbard U).

```
MgMn5O8
1.0
4.1623 -4.1586 0.0000
4.1623 4.1586 0.0000
-4.1593 0.0000 4.7264
Mg Mn O
1 5 8
Cartesian
0.0000 0.0000 0.0000
-1.0485 1.0499 3.5496
2.0827 2.0808 2.3632
5.2139 1.0499 1.1768
3.1207 -1.0411 1.1799
1.0447 -1.0411 3.5465
-0.9238 -0.9179 3.6148
0.9240 0.9245 3.6121
3.2414 0.9245 1.1144
1.1418 -1.1350 1.2189
5.0892 -0.9179 1.1116
3.0262 -3.0177 1.2207
1.1392 -3.0177 3.5057
3.0236 -1.1350 3.5076
```

As for the space group: C2 (5). The formation enthalpy at 0 K is -2.177 eV/atom. For the density, the calculation gives 4.3 Mg/m³.

***

4.
Entry from Materials Project: an optimized crystal structure of Li4Mn2Co3O10 (PBE with a Hubbard U).

```
Li4Mn2Co3O10
1.0
6.4990 0.0000 0.0000
-3.1824 6.9023 0.0000
-0.1568 -0.7537 7.6640
Li Mn Co O
8 4 6 20
Cartesian
-0.7416 2.7765 0.6718
-0.1170 2.8267 5.7607
1.3110 1.1931 2.3062
0.6573 3.7963 3.0525
2.5025 2.3523 4.6115
1.8488 4.9556 5.3578
3.2768 3.3220 1.9033
3.9014 3.3721 6.9922
-2.0035 4.4107 4.1790
1.8840 1.3767 7.2799
1.2758 4.7719 0.3841
5.1633 1.7379 3.4850
0.0000 0.0000 0.0000
0.5263 0.2062 5.0019
-0.7095 5.5671 6.5061
3.1711 -0.3768 3.8320
3.8693 0.5815 1.1579
2.6335 5.9425 2.6621
-2.5348 5.3490 5.8611
-1.3203 3.4435 2.6678
0.0685 0.9729 6.7037
-2.0622 6.2177 3.3920
0.4796 1.8912 4.0462
-0.6473 3.8683 7.3903
2.0644 0.3763 0.4519
-0.1720 4.7900 4.8145
1.2985 3.0223 1.1886
2.3296 0.4246 5.6057
0.8302 5.7240 2.0583
1.8613 3.1264 6.4754
3.3318 1.3587 2.8495
1.0954 5.7723 7.2121
3.8071 2.2804 0.2737
2.6802 4.2574 3.6178
5.2220 -0.0690 4.2721
3.0913 5.1757 0.9603
4.4801 2.7051 4.9962
5.6946 0.7996 1.8029
```

As for the space group: P-1 (2). The formation enthalpy at 0 K is -1.824 eV/atom. For the density, the calculation gives 4.6 Mg/m³.

***

5.
Entry from Materials Project: an optimized crystal structure of BaLaMn2O6 (PBE with a Hubbard U).

```
BaLaMn2O6
1.0
0.0000 4.0056 4.0151
3.8563 0.0000 4.0151
3.8563 4.0056 0.0000
Ba La Mn O
1 1 2 6
Cartesian
0.0000 0.0000 0.0000
3.8563 4.0056 4.0151
1.9281 2.0028 2.0076
5.7844 6.0085 6.0227
1.9281 2.0028 0.0830
1.9281 0.0798 2.0076
1.9281 3.9259 2.0076
1.9281 2.0028 3.9322
7.6998 6.0085 6.0227
3.8690 6.0085 6.0227
```

As for the space group: F222 (22). The formation enthalpy at 0 K is -2.664 eV/atom. For the density, the calculation gives 6.5 Mg/m³.

***

6.
Entry from Materials Project: an optimized crystal structure of MgNi2Sb4O12 (PBE with a Hubbard U).

```
MgNi2Sb4O12
1.0
4.8666 0.0000 0.0000
0.0000 9.5991 0.0000
-0.1799 0.0000 4.9559
Mg Ni Sb O
1 2 4 12
Cartesian
0.0000 0.0000 0.0000
-0.0900 4.5029 2.4779
2.4333 9.0518 0.0000
-0.0900 1.5124 2.4779
-0.0900 7.5033 2.4779
2.4333 2.8818 0.0000
2.4333 6.0080 0.0000
0.8507 8.9595 3.4520
0.8931 6.0286 3.4025
0.9647 2.9894 3.3993
1.3593 7.5129 0.9107
1.3798 1.2813 0.7420
1.4480 4.4593 0.8649
3.2388 4.4593 4.0910
3.3069 1.2813 4.2139
3.3274 7.5129 4.0452
3.7220 2.9894 1.5566
3.7936 6.0286 1.5534
3.8360 8.9595 1.5039
```

As for the space group: P2 (3). The formation enthalpy at 0 K is -1.721 eV/atom. For the density, the calculation gives 5.9 Mg/m³.

***

7.
Entry from Materials Project: an optimized crystal structure of CoN4F12 (PBE with a Hubbard U).

```
CoN4F12
1.0
0.0000 11.8758 11.8758
11.8758 0.0000 11.8758
11.8758 11.8758 0.0000
Co N F
2 8 24
Cartesian
2.9689 2.9689 2.9689
20.7826 20.7826 20.7826
17.8328 11.8566 11.8566
5.9187 5.9187 5.9187
11.8949 11.8949 5.9187
11.8949 5.9187 11.8949
11.8566 17.8328 11.8566
11.8566 11.8566 17.8328
17.8328 17.8328 17.8328
5.9187 11.8949 11.8949
6.0696 6.0696 4.5238
11.7440 11.7440 4.5238
6.0696 4.5238 6.0696
13.2899 11.7440 6.0696
11.7440 4.5238 11.7440
13.2899 6.0696 11.7440
17.6819 12.0075 10.4616
17.6819 10.4616 12.0075
19.2278 12.0075 12.0075
4.5238 6.0696 6.0696
11.7440 13.2899 6.0696
11.7440 6.0696 13.2899
12.0075 17.6819 10.4616
12.0075 10.4616 17.6819
19.2278 17.6819 17.6819
4.5238 11.7440 11.7440
6.0696 13.2899 11.7440
6.0696 11.7440 13.2899
10.4616 17.6819 12.0075
12.0075 19.2278 12.0075
10.4616 12.0075 17.6819
17.6819 19.2278 17.6819
12.0075 12.0075 19.2278
17.6819 17.6819 19.2278
```

As for the space group: Fd-3m (227). The formation enthalpy at 0 K is -0.509 eV/atom. For the density, the calculation gives 0.3 Mg/m³.

***

8.
Entry from Materials Project: an optimized crystal structure of Nd4Mn3NiO12 (PBE with a Hubbard U).

```
Nd4Mn3NiO12
1.0
5.4628 0.0000 0.0000
0.0562 5.6679 0.0000
0.0505 0.0251 7.8096
Nd Mn Ni O
4 3 1 12
Cartesian
0.1048 2.5318 1.9328
2.7104 5.3401 1.9214
2.8591 0.3529 5.8882
5.4647 3.1613 5.8768
0.0000 0.0000 0.0000
0.0252 0.0126 3.9048
2.7847 2.8465 3.9048
2.7595 2.8339 0.0000
0.5929 5.5471 5.9138
1.1179 4.0554 0.3658
1.1959 3.9887 3.5264
1.5780 1.1152 3.5177
1.5694 1.1283 0.3469
2.3234 2.7258 5.8054
3.2460 2.9672 2.0042
4.0001 4.5647 7.4627
3.9914 4.5778 4.2919
4.3736 1.7043 4.2832
4.4516 1.6376 7.4438
4.9766 0.1459 1.8958
```

As for the space group: P-1 (2). The formation enthalpy at 0 K is -2.868 eV/atom. For the density, the calculation gives 6.8 Mg/m³.

***

9.
Entry from Materials Project: an optimized crystal structure of BaNb2CrO6 (PBE with a Hubbard U).

```
BaNb2CrO6
1.0
0.0000 4.0819 4.0819
4.0819 0.0000 4.0819
4.0819 4.0819 0.0000
Ba Nb Cr O
1 2 1 6
Cartesian
0.0000 0.0000 0.0000
2.0409 2.0409 2.0409
6.1228 6.1228 6.1228
4.0819 4.0819 4.0819
2.0409 2.0409 0.0000
2.0409 0.0000 2.0409
4.0819 2.0409 2.0409
0.0000 2.0409 2.0409
2.0409 4.0819 2.0409
2.0409 2.0409 4.0819
```

As for the space group: Fm-3m (225). The formation enthalpy at 0 K is -2.714 eV/atom. For the density, the calculation gives 5.8 Mg/m³.

***

10.
Entry from Materials Project: an optimized crystal structure of Li2MnP4O12 (PBE with a Hubbard U).

```
Li2MnP4O12
1.0
8.0737 0.0000 0.0000
0.0000 9.5310 0.0000
-8.0290 0.0000 13.3737
Li Mn P O
8 4 16 48
Cartesian
-0.0363 2.3743 0.1378
-4.0508 2.3912 6.8247
-5.0969 6.5896 9.0744
-1.0824 7.7068 2.3875
1.1272 1.8241 10.9862
5.1417 2.9414 4.2993
4.0956 7.1398 6.5490
0.0811 7.1567 13.2359
3.0718 2.3816 0.0618
-0.9426 2.3839 6.7486
0.9874 7.1470 6.6251
-3.0271 7.1494 13.3119
-2.6364 0.0686 4.8216
-6.6509 4.6969 11.5084
-0.3241 4.8175 4.6450
-4.3386 9.4789 11.3319
1.3737 0.0246 1.8619
-2.6408 4.7409 8.5487
0.3874 0.0941 4.6319
-3.6271 4.6714 11.3187
3.6718 4.8595 2.0550
-0.3427 9.4369 8.7418
2.6855 4.7900 4.8250
-1.3289 9.5064 11.5118
4.3834 0.0520 2.0418
0.3689 4.7135 8.7287
6.6957 4.8341 1.8653
2.6812 9.4624 8.5521
-4.7330 1.1757 8.1066
-0.7185 3.5897 1.4198
-2.5964 1.3036 5.7059
-6.6109 3.4619 12.3927
-0.7085 5.4867 3.2141
-4.7230 8.8097 9.9010
-5.1778 5.0889 10.9430
-1.1633 9.2076 4.2562
-3.4403 5.9773 8.2490
0.5742 8.3192 1.5622
-5.1837 1.1831 11.5099
-1.1692 3.5823 4.8231
1.4094 1.1258 0.8305
-2.6051 3.6397 7.5174
0.8417 0.7295 3.2179
-3.1728 4.0360 9.9048
-0.4232 5.8904 5.6794
-4.4377 8.4060 12.3663
0.4077 1.1719 5.6610
-3.6068 3.5936 12.3479
-2.8218 0.4281 11.0994
1.1927 4.3374 4.4125
-1.0830 1.1851 8.5092
2.9315 3.5804 1.8224
-2.8868 5.9506 11.5513
1.1277 8.3458 4.8645
-1.1479 5.1935 8.9612
2.8665 9.1029 2.2743
3.6516 5.9374 1.0258
-0.3629 8.3590 7.7127
4.4825 1.1250 1.0074
0.4680 3.6405 7.6943
3.2176 5.4950 3.4689
-0.7969 8.8015 10.1558
2.6499 5.8913 5.8563
-1.3646 8.4052 12.5432
1.2140 5.9486 8.5506
5.2285 8.3478 1.8638
-0.5294 1.2118 11.8115
3.4850 3.5537 5.1247
1.2081 0.3234 9.1175
5.2225 4.4421 2.4307
4.7677 0.7212 3.4727
0.7533 4.0443 10.1596
6.6557 6.0691 0.9810
2.6412 8.2274 7.6678
0.7633 5.9412 11.9539
4.7778 8.3552 5.2671
```

As for the space group: P2_1/c (14). The formation enthalpy at 0 K is -2.634 eV/atom. For the density, the calculation gives 2.5 Mg/m³.

***

11.
Entry from Materials Project: an optimized crystal structure of Li3FeB2O6 (PBE with a Hubbard U).

```
Li3FeB2O6
1.0
5.2235 0.0000 0.0000
0.1940 6.8812 0.0000
0.9022 2.4149 7.4406
Li Fe B O
6 2 4 12
Cartesian
0.3438 2.4276 1.9866
2.0149 4.6446 5.8170
2.0499 4.8561 3.0614
4.2698 4.4400 4.3792
4.3048 4.6516 1.6236
5.9758 6.8685 5.4540
2.9059 1.9565 5.9930
3.4138 7.3396 1.4476
1.4915 5.0338 0.5940
2.6706 2.5781 3.2911
3.6491 6.7180 4.1495
4.8282 4.2623 6.8466
0.9701 4.2814 1.5803
1.7338 7.7822 6.8560
2.0211 2.8733 4.5152
2.1016 1.5690 2.5005
2.6021 5.9428 4.5377
2.7931 5.6256 0.6870
3.5265 3.6705 6.7536
3.7176 3.3534 2.9029
4.2180 7.7271 4.9401
4.2986 6.4229 2.9254
4.5859 1.5139 0.5846
5.3495 5.0147 5.8603
```

As for the space group: P-1 (2). The formation enthalpy at 0 K is -2.208 eV/atom. For the density, the calculation gives 2.4 Mg/m³.

***

12.
Entry from Materials Project: an optimized crystal structure of MnZnSi2O6 (PBE with a Hubbard U).

```
MnZnSi2O6
1.0
4.9947 -4.7683 0.0000
4.9947 4.7683 0.0000
-1.9403 0.0000 5.0491
Mn Zn Si O
2 2 4 12
Cartesian
3.5395 3.7575 3.7869
4.5096 -3.7575 1.2623
4.5096 2.5084 1.2623
3.5395 -2.5084 3.7869
1.5125 0.7877 3.9411
2.4826 -0.7877 1.4165
5.5665 0.7877 3.6326
6.5367 -0.7877 1.1080
-0.0229 0.8311 3.3404
2.1137 2.2137 4.4559
0.9473 -0.8311 0.8158
2.4757 0.2306 2.7199
3.4459 -0.2306 0.1953
4.9653 2.2137 3.1178
3.0838 -2.2137 1.9314
4.6033 0.2306 4.8538
5.5734 -0.2306 2.3293
7.1019 0.8311 4.2333
5.9355 -2.2137 0.5932
8.0720 -0.8311 1.7087
```

As for the space group: C2/c (15). The formation enthalpy at 0 K is -2.723 eV/atom. For the density, the calculation gives 3.8 Mg/m³.

***

Listing E_tot for the structures above in their given order: -0.2805 -0.1916 -0.2720 -0.2249 -0.2721 -0.2097 -0.1403 -0.2817 -0.3031 -0.2594 -0.2369 -0.2661 Ha/atom.